The following is a r²SCAN calculation of crystalline Sc2CdHg at its relaxed geometry, from the Materials Project database.

As for the uncorrected energy: -375.532 eV/cell. The total magnetization comes out at 0.00 μB per formula unit. The crystal system is cubic. As for the energy of formation: -0.4033 eV/atom.

The structure belongs to space group Fm-3m (No. 225); the cell edges are 7.023, 7.023 and 7.023 Å and the angles 90.00°, 90.00° and 90.00°. Symmetry generates all atoms from Sc at (0.250, 0.250, 0.250), Cd at (0.000, 0.000, 0.000) and Hg at (0.000, 0.000, 0.500).


The following is a r²SCAN calculation of crystalline Ho5NiPb3 at its relaxed geometry, from the Materials Project database.

As for the uncorrected energy: -702.161 eV/cell. The total magnetization comes out at 0.01 μB per formula unit. The crystal system is hexagonal. As for the energy of formation: -0.6485 eV/atom.

The structure belongs to space group P6_3/mcm (No. 193); the cell edges are 9.0555, 9.0555 and 6.6756 Å and the angles 90.00°, 90.00° and 120.00°. Symmetry generates all atoms from Ho at (0.0000, 0.2370, 0.2500), Ho at (0.3333, 0.6667, 0.0000), Ni at (0.0000, 0.0000, 0.0000) and Pb at (0.0000, 0.3997, 0.7500).


The following is a r²SCAN calculation of crystalline CsY2Cl7 at its relaxed geometry, from the Materials Project database.

As for the uncorrected energy: -536.434 eV/cell. The total magnetization comes out at 0.00 μB per formula unit. The crystal system is orthorhombic. As for the energy of formation: -2.5306 eV/atom.

The structure belongs to space group Pnma (No. 62); the cell edges are 13.617, 7.005 and 12.681 Å and the angles 90.00°, 90.00° and 90.00°. Symmetry generates all atoms from Cs at (0.039, 0.250, 0.198), Y at (0.240, 0.250, 0.542), Y at (0.249, 0.250, 0.845), Cl at (0.111, 0.750, 0.191), Cl at (0.127, 0.009, 0.426), Cl at (0.134, 0.010, 0.961) and Cl at (0.178, 0.010, 0.695).


The following is a r²SCAN calculation of crystalline MnI2 at its relaxed geometry, from the Materials Project database.

As for the uncorrected energy: -66.437 eV/cell. The total magnetization comes out at 5.00 μB per formula unit. The crystal system is trigonal. As for the energy of formation: -0.8788 eV/atom.

The structure belongs to space group P-3m1 (No. 164); the cell edges are 4.1686, 4.1686 and 7.1462 Å and the angles 90.00°, 90.00° and 120.00°. Symmetry generates all atoms from Mn at (0.0000, 0.0000, 0.0000) and I at (0.3333, 0.6667, 0.2309).


> Among the records above, which one has the highest uncorrected energy?

MnI2